GGA-PBE Sb3Au2Xe2F19, relaxed; MP2020-corrected energy = -109.907 eV/f.u.; raw total energy = -3.89 eV per atom
1.0
6.8791 0.0000 0.0000
-3.4266 8.1976 0.0000
-1.8867 -2.4770 9.0354
Sb Au Xe F
3 2 2 19
direct
0.0000 0.0000 0.0000
0.4688 0.2499 0.6190
0.5312 0.7501 0.3810
0.0207 0.7107 0.6482
0.9793 0.2893 0.3518
0.2506 0.6280 0.8598
0.7494 0.3720 0.1402
0.0000 0.5000 0.5000
0.0218 0.9358 0.7963
0.1320 0.2346 0.0079
0.1758 0.2530 0.5409
0.2526 0.7475 0.3037
0.2827 0.0089 0.0746
0.3094 0.0114 0.5865
0.3952 0.5079 0.3469
0.4213 0.2838 0.8102
0.4928 0.2249 0.4224
0.5072 0.7751 0.5776
0.5787 0.7162 0.1898
0.6048 0.4921 0.6531
0.6906 0.9886 0.4135
0.7173 0.9911 0.9254
0.7474 0.2525 0.6963
0.8242 0.7470 0.4591
0.8680 0.7654 0.9921
0.9782 0.0642 0.2037